Record 1
A geometry-optimized YSn3 structure, computed with PBE-GGA.

Calculated values
total magnetic moment	0.001	μB per formula unit
crystal system	orthorhombic
DFT total energy	-4.998	eV/atom
space-group type	Amm2 (38)
formation energy	-0.37	eV per atom

Cell lengths 11.3579, 11.3579, 4.4396 Å; angles 90.00, 90.00, 157.39 degrees
With the nearest neighbours (Å) after each atom.
Atoms (fractional coordinates):
Sn 0.6370 0.3630 0.0000  6 Sn 3.14-3.33, 3 Y 3.37-3.48
Sn 0.1348 0.8652 0.5000  7 Sn 3.01-3.29
Y 0.5166 0.4834 0.5000  12 Sn 3.15-3.48
Sn 0.2701 0.7299 0.5000  1 Sn 3.01, 4 Y 3.17
Sn 0.9001 0.0999 0.5000  4 Sn 3.14, 4 Y 3.34-3.42
Sn 0.0259 0.9741 0.0000  4 Y 3.15, 4 Sn 3.29-3.33
Sn 0.4013 0.5987 0.0000  4 Sn 3.14, 4 Y 3.36-3.39
Y 0.7883 0.2117 0.0000  9 Sn 3.17-3.37


Record 2
A geometry-optimized CsN structure, computed with PBE-GGA.

Calculated values
total magnetic moment	2.000	μB per formula unit
crystal system	cubic
DFT total energy	-3.180	eV/atom
space-group type	Pm-3m (221)
formation energy	1.26	eV per atom

Cell lengths 3.8644, 3.8644, 3.8644 Å; angles 90.00, 90.00, 90.00 degrees
With the nearest neighbours (Å) after each atom.
Atoms (fractional coordinates):
Cs 0.0000 0.0000 0.0000  8 N 3.35
N 0.5000 0.5000 0.5000  8 Cs 3.35